# MnSbPt PBE relaxed
# - E above lowest polymorph: 371 meV per atom
data_MnSbPt
_symmetry_space_group_name_H-M 'F -4 3 m'
_symmetry_Int_Tables_number 216
_symmetry_space_group_name_Hall 'F -4 2 3'
_cell_length_a 6.260
_cell_length_b 6.260
_cell_length_c 6.260
_cell_angle_alpha 90.00
_cell_angle_beta 90.00
_cell_angle_gamma 90.00
loop_
_atom_site_label
_atom_site_fract_x
_atom_site_fract_y
_atom_site_fract_z
_atom_site_occupancy
Mn1 0.000 0.000 0.000 1
Sb1 0.250 0.250 0.750 1
Pt1 0.000 0.000 0.500 1


The following is a PBE calculation of a geometry-optimized CrS structure, from Materials Project.

Structure (CIF):
```
data_CrS
_symmetry_space_group_name_H-M 'P 63/m m c'
_symmetry_Int_Tables_number 194
_symmetry_space_group_name_Hall '-P 6c 2c'
_cell_length_a 3.3860
_cell_length_b 3.3860
_cell_length_c 5.7456
_cell_angle_alpha 90.00
_cell_angle_beta 90.00
_cell_angle_gamma 120.00
loop_
_atom_site_label
_atom_site_fract_x
_atom_site_fract_y
_atom_site_fract_z
_atom_site_occupancy
Cr1 0.0000 0.0000 0.0000 1
S1 0.3333 0.6667 0.2500 1
```


The following is a PBE calculation of a geometry-optimized Y3Al19Ni5 structure, from Materials Project.

Structure (CIF):
```
data_Y3Al19Ni5
_symmetry_space_group_name_H-M 'C m c m'
_symmetry_Int_Tables_number 63
_symmetry_space_group_name_Hall '-C 2c 2'
_cell_length_a 4.109
_cell_length_b 16.063
_cell_length_c 27.263
_cell_angle_alpha 90.00
_cell_angle_beta 90.00
_cell_angle_gamma 90.00
loop_
_atom_site_label
_atom_site_fract_x
_atom_site_fract_y
_atom_site_fract_z
_atom_site_occupancy
Y1 0.000 0.112 0.250 1
Y2 0.000 0.334 0.135 1
Al1 0.000 0.036 0.601 1
Al2 0.000 0.080 0.702 1
Al3 0.000 0.094 0.037 1
Al4 0.000 0.129 0.135 1
Al5 0.000 0.265 0.029 1
Al6 0.000 0.276 0.693 1
Al7 0.000 0.291 0.588 1
Al8 0.000 0.306 0.250 1
Al9 0.000 0.433 0.031 1
Al10 0.000 0.464 0.674 1
Ni1 0.000 0.158 0.542 1
Ni2 0.000 0.446 0.585 1
Ni3 0.000 0.455 0.250 1
```


The following is a PBE calculation of a geometry-optimized AlNi3C structure, from Materials Project.

Structure (CIF):
```
data_AlNi3C
_symmetry_space_group_name_H-M 'P m -3 m'
_symmetry_Int_Tables_number 221
_symmetry_space_group_name_Hall '-P 4 2 3'
_cell_length_a 3.761
_cell_length_b 3.761
_cell_length_c 3.761
_cell_angle_alpha 90.00
_cell_angle_beta 90.00
_cell_angle_gamma 90.00
loop_
_atom_site_label
_atom_site_fract_x
_atom_site_fract_y
_atom_site_fract_z
_atom_site_occupancy
Al1 0.000 0.000 0.000 1
Ni1 0.000 0.500 0.500 1
C1 0.500 0.500 0.500 1
```


# BaSrCe2O6 PBE relaxed
# - E above lowest polymorph: 93 meV per atom
data_BaSrCe2O6
_symmetry_space_group_name_H-M 'P 4/m m m'
_symmetry_Int_Tables_number 123
_symmetry_space_group_name_Hall '-P 4 2'
_cell_length_a 4.458
_cell_length_b 4.458
_cell_length_c 8.913
_cell_angle_alpha 90.00
_cell_angle_beta 90.00
_cell_angle_gamma 90.00
loop_
_atom_site_label
_atom_site_fract_x
_atom_site_fract_y
_atom_site_fract_z
_atom_site_occupancy
Ba1 0.000 0.000 0.000 1
Sr1 0.000 0.000 0.500 1
Ce1 0.500 0.500 0.251 1
O1 0.000 0.500 0.251 1
O2 0.500 0.500 0.000 1
O3 0.500 0.500 0.500 1


# TeMo2S3 PBE relaxed
# - E above lowest polymorph: 5 meV per atom
data_TeMo2S3
_symmetry_space_group_name_H-M 'P 3 m 1'
_symmetry_Int_Tables_number 156
_cell_length_a 3.2744
_cell_length_b 3.2744
_cell_length_c 37.3362
_cell_angle_alpha 90.00
_cell_angle_beta 90.00
_cell_angle_gamma 120.00
loop_
_symmetry_equiv_pos_as_xyz
'x,y,z'
'-y,x-y,z'
'-x+y,-x,z'
'-y,-x,z'
'-x+y,y,z'
'x,x-y,z'
loop_
_atom_site_label
_atom_site_fract_x
_atom_site_fract_y
_atom_site_fract_z
_atom_site_occupancy
Te1 0.0000 0.0000 0.0000 1
Te2 0.0000 0.0000 0.1033 1
Mo1 0.0000 0.0000 0.4880 1
Mo2 0.0000 0.0000 0.8637 1
Mo3 0.3333 0.6667 0.0516 1
Mo4 0.3333 0.6667 0.6759 1
S1 0.0000 0.0000 0.6346 1
S2 0.0000 0.0000 0.7171 1
S3 0.3333 0.6667 0.4468 1
S4 0.3333 0.6667 0.5292 1
S5 0.3333 0.6667 0.8225 1
S6 0.3333 0.6667 0.9049 1


no.,E_tot (eV for the cell shown),energy of formation (eV/f.u.)
1,-77.36,0.02
2,-29.39,-1.41
3,-532.39,-13.63
4,-31.22,-0.91
5,-76.03,-34.99
6,-82.41,-5.47